This record from the Materials Project database describes a geometry-optimized Tl4Ag18Te11 structure. The functional is PBE-GGA.

- raw total energy (eV/f.u.) = -99.372
- calculated density (g/cm³) = 8.12

Cell and atoms, written as CIF:
```
data_Tl4Ag18Te11
_cell_length_a 13.394
_cell_length_b 13.394
_cell_length_c 18.981
_cell_angle_alpha 90.00
_cell_angle_beta 90.00
_cell_angle_gamma 90.00
_space_group_name_H-M_alt 'I 4 m m'
_space_group_IT_number 107
_space_group_name_Hall 'I 4 -2'
loop_
_atom_site_label
_atom_site_type_symbol
_atom_site_fract_x
_atom_site_fract_y
_atom_site_fract_z
_atom_site_occupancy
Tl1 Tl 0.000 0.000 0.000 1
Tl2 Tl 0.000 0.000 0.213 1
Tl3 Tl 0.000 0.000 0.537 1
Tl4 Tl 0.000 0.000 0.772 1
Tl5 Tl 0.235 0.235 0.773 1
Ag1 Ag 0.000 0.265 0.029 1
Ag2 Ag 0.000 0.265 0.515 1
Ag3 Ag 0.000 0.387 0.773 1
Ag4 Ag 0.110 0.374 0.405 1
Ag5 Ag 0.110 0.375 0.141 1
Ag6 Ag 0.191 0.191 0.579 1
Ag7 Ag 0.193 0.193 0.965 1
Te1 Te 0.000 0.218 0.664 1
Te2 Te 0.000 0.218 0.881 1
Te3 Te 0.000 0.315 0.273 1
Te4 Te 0.000 0.500 0.022 1
Te5 Te 0.158 0.158 0.114 1
Te6 Te 0.158 0.158 0.431 1
```



This record from the Materials Project database describes a geometry-optimized Tl2Ag16Te11 structure. The functional is PBE-GGA.

- raw total energy (eV/f.u.) = -86.030
- calculated density (g/cm³) = 7.41
- magnetic moment (μB per atom) = 0.005

Cell and atoms, written as CIF:
```
data_Tl2Ag16Te11
_cell_length_a 11.411
_cell_length_b 11.427
_cell_length_c 15.437
_cell_angle_alpha 111.55
_cell_angle_beta 90.02
_cell_angle_gamma 119.68
_space_group_name_H-M_alt 'P 1'
_space_group_IT_number 1
loop_
_space_group_symop_operation_xyz
'x,y,z'
loop_
_atom_site_label
_atom_site_type_symbol
_atom_site_fract_x
_atom_site_fract_y
_atom_site_fract_z
_atom_site_occupancy
Tl1 Tl 0.000 0.000 0.000 1
Tl2 Tl 0.099 0.204 0.314 1
Tl3 Tl 0.499 0.985 0.487 1
Tl4 Tl 0.617 0.211 0.823 1
Ag1 Ag 0.083 0.201 0.684 1
Ag2 Ag 0.104 0.789 0.490 1
Ag3 Ag 0.131 0.602 0.681 1
Ag4 Ag 0.192 0.372 0.565 1
Ag5 Ag 0.192 0.587 0.485 1
Ag6 Ag 0.193 0.382 0.991 1
Ag7 Ag 0.196 0.801 0.994 1
Ag8 Ag 0.212 0.909 0.329 1
Ag9 Ag 0.218 0.910 0.834 1
Ag10 Ag 0.294 0.102 0.655 1
Ag11 Ag 0.328 0.107 0.149 1
Ag12 Ag 0.399 0.293 0.995 1
Ag13 Ag 0.401 0.292 0.488 1
Ag14 Ag 0.418 0.621 0.327 1
Ag15 Ag 0.486 0.601 0.139 1
Ag16 Ag 0.489 0.560 0.685 1
Ag17 Ag 0.504 0.404 0.322 1
Ag18 Ag 0.542 0.021 0.139 1
Ag19 Ag 0.559 0.841 0.660 1
Ag20 Ag 0.616 0.814 0.997 1
Ag21 Ag 0.692 0.373 0.072 1
Ag22 Ag 0.696 0.392 0.491 1
Ag23 Ag 0.705 0.618 0.829 1
Ag24 Ag 0.707 0.795 0.489 1
Ag25 Ag 0.717 0.118 0.325 1
Ag26 Ag 0.794 0.838 0.154 1
Ag27 Ag 0.821 0.363 0.656 1
Ag28 Ag 0.900 0.087 0.487 1
Ag29 Ag 0.908 0.580 0.987 1
Ag30 Ag 0.917 0.832 0.754 1
Ag31 Ag 0.920 0.126 0.833 1
Ag32 Ag 0.989 0.596 0.179 1
Te1 Te 0.065 0.870 0.159 1
Te2 Te 0.135 0.062 0.491 1
Te3 Te 0.178 0.138 0.825 1
Te4 Te 0.185 0.650 0.324 1
Te5 Te 0.263 0.512 0.771 1
Te6 Te 0.283 0.338 0.164 1
Te7 Te 0.321 0.868 0.659 1
Te8 Te 0.353 0.693 0.040 1
Te9 Te 0.429 0.558 0.493 1
Te10 Te 0.457 0.070 0.987 1
Te11 Te 0.475 0.135 0.322 1
Te12 Te 0.561 0.339 0.657 1
Te13 Te 0.642 0.550 0.990 1
Te14 Te 0.679 0.846 0.322 1
Te15 Te 0.687 0.858 0.829 1
Te16 Te 0.761 0.519 0.270 1
Te17 Te 0.793 0.099 0.658 1
Te18 Te 0.821 0.100 0.155 1
Te19 Te 0.858 0.701 0.553 1
Te20 Te 0.927 0.349 0.999 1
Te21 Te 0.935 0.355 0.490 1
Te22 Te 0.973 0.647 0.824 1
```